# Na10Ta4Zn4Si7S5O48

A relaxed Na10Ta4Zn4Si7S5O48 crystal (PBE-GGA, the Materials Project database).

Cell: 17.976 9.103 22.491 Å, 89.92 88.95 120.36°
Fractional positions:
S: 0.856 0.712 0.251
O: 0.419 0.798 0.587
O: 0.259 0.151 0.927
O: 0.092 0.179 0.413
O: 0.231 0.156 0.530
Zn: 0.668 0.645 0.518
O: 0.062 0.631 0.364
O: 0.241 0.170 0.241
O: 0.232 0.309 0.030
O: 0.593 0.701 0.756
O: 0.835 0.537 0.243
O: 0.680 0.863 0.859
Si: 0.001 0.298 0.251
Si: 0.169 0.374 0.419
O: 0.263 0.656 0.578
O: 0.334 0.536 0.244
O: 0.268 0.829 0.754
O: 0.920 0.536 0.024
O: 0.671 0.470 0.076
O: 0.106 0.187 0.812
S: 0.856 0.000 0.751
Na: 0.157 0.678 0.159
Si: 0.479 0.623 0.086
O: 0.819 0.147 0.426
Na: 0.494 0.993 0.988
O: 0.927 0.036 0.091
Na: 0.154 0.635 0.658
O: 0.592 0.179 0.413
O: 0.138 0.830 0.972
Ta: 0.669 0.672 0.815
O: 0.987 0.817 0.090
O: 0.094 0.485 0.256
O: 0.562 0.631 0.364
O: 0.639 0.451 0.471
S: 0.335 0.042 0.085
O: 0.346 0.537 0.530
O: 0.906 0.790 0.303
Zn: 0.505 0.025 0.351
Ta: 0.835 0.335 0.979
Si: 0.984 0.340 0.585
O: 0.581 0.199 0.692
S: 0.836 0.628 0.585
O: 0.600 0.016 0.312
Ta: 0.336 0.344 0.978
S: 0.686 0.330 0.085
O: 0.259 0.366 0.426
O: 0.935 0.373 0.920
Si: 0.311 0.678 0.921
O: 0.593 0.483 0.256
O: 0.428 0.516 0.142
S: 0.020 0.665 0.418
Si: 0.498 0.705 0.753
O: 0.982 0.779 0.810
Na: 0.820 0.025 0.246
O: 0.433 0.342 0.646
Na: 0.822 0.622 0.751
O: 0.435 0.371 0.922
O: 0.655 0.486 0.756
O: 0.909 0.986 0.413
O: 0.930 0.341 0.641
O: 0.920 0.314 0.524
O: 0.849 0.175 0.030
O: 0.988 0.155 0.591
O: 0.734 0.123 0.639
O: 0.005 0.805 0.407
Ta: 0.334 0.325 0.480
O: 0.763 0.655 0.578
Si: 0.669 0.375 0.419
O: 0.078 0.505 0.579
O: 0.934 0.498 0.422
S: 0.355 0.711 0.252
O: 0.514 0.189 0.194
O: 0.810 0.107 0.145
Na: 0.491 0.003 0.494
O: 0.236 0.347 0.139
O: 0.482 0.185 0.311
Na: 0.680 0.346 0.252
Na: 0.829 0.700 0.072
O: 0.751 0.642 0.860
O: 0.741 0.313 0.740
O: 0.505 0.805 0.407
O: 0.919 0.799 0.587
O: 0.156 0.486 0.758
O: 0.682 0.498 0.357
O: 0.247 0.634 0.862
Na: 0.995 0.982 0.990
O: 0.505 0.204 0.908
O: 0.100 0.034 0.587
O: 0.239 0.301 0.741
Si: 0.648 0.294 0.752
O: 0.017 0.198 0.192
O: 0.419 0.315 0.527
O: 0.514 0.839 0.695
O: 0.658 0.828 0.257
O: 0.160 0.829 0.256
O: 0.424 0.508 0.748
O: 0.397 0.970 0.696
Ta: 0.167 0.666 0.314
Si: 0.312 0.947 0.421
O: 0.068 0.444 0.972
O: 0.739 0.173 0.245
O: 0.769 0.709 0.254
O: 0.898 0.971 0.697
Na: 0.658 0.651 0.655
O: 0.909 0.833 0.913
Zn: 0.006 0.024 0.351
O: 0.260 0.668 0.980
O: 0.405 0.788 0.304
Na: 0.179 0.011 0.752
O: 0.322 0.527 0.638
O: 0.092 0.005 0.913
O: 0.731 0.155 0.530
O: 0.434 0.497 0.422
Si: 0.983 0.626 0.084
O: 0.106 0.024 0.312
O: 0.760 0.153 0.925
Ta: 0.007 0.016 0.647
O: 0.269 0.710 0.254
O: 0.906 0.023 0.804
O: 0.322 0.112 0.141
Si: 0.668 0.967 0.920
Na: 0.661 0.032 0.408
Zn: 0.343 0.330 0.185
Na: 0.161 0.291 0.907
O: 0.320 0.148 0.426
O: 0.767 0.673 0.981
O: 0.258 0.845 0.478
Na: 0.321 0.023 0.252
O: 0.599 0.161 0.088
Ta: 0.170 0.667 0.812
O: 0.822 0.531 0.640
O: 0.583 0.971 0.193
Na: 0.991 0.003 0.494
O: 0.933 0.512 0.140
O: 0.417 0.316 0.246
Na: 0.991 0.283 0.415
Si: 0.814 0.671 0.920
Na: 0.330 0.349 0.822
Zn: 0.672 0.691 0.016
O: 0.734 0.352 0.140
Zn: 0.168 0.645 0.518
Na: 0.496 0.366 0.740
Ta: 0.006 0.001 0.146
O: 0.015 0.841 0.694
O: 0.236 0.124 0.638
Si: 0.500 0.297 0.251
O: 0.730 0.301 0.032
O: 0.083 0.196 0.694
Si: 0.482 0.339 0.587
O: 0.917 0.519 0.746
S: 0.336 0.628 0.584
S: 0.520 0.665 0.418
S: 0.187 0.041 0.586
Na: 0.012 0.344 0.085
Si: 0.833 0.038 0.086
Si: 0.647 0.999 0.253
O: 0.397 0.823 0.197
O: 0.758 0.845 0.478
O: 0.756 0.843 0.081
S: 0.522 0.375 0.918
Si: 0.000 0.705 0.751
Na: 0.655 0.948 0.077
O: 0.587 0.993 0.914
O: 0.182 0.498 0.357
O: 0.006 0.206 0.907
Na: 0.337 0.338 0.325
Zn: 0.845 0.357 0.685
O: 0.486 0.154 0.591
Na: 0.989 0.696 0.913
Ta: 0.503 0.997 0.148
O: 0.599 0.176 0.807
O: 0.407 0.020 0.804
Zn: 0.342 0.366 0.685
Si: 0.812 0.946 0.421
O: 0.834 0.132 0.743
Na: 0.492 0.284 0.415
S: 0.355 0.993 0.751
O: 0.562 0.490 0.863
O: 0.759 0.366 0.426
O: 0.338 0.133 0.744
O: 0.262 0.869 0.079
S: 0.020 0.375 0.918
O: 0.139 0.452 0.471
O: 0.249 0.864 0.359
S: 0.189 0.333 0.085
Ta: 0.834 0.324 0.480
O: 0.419 0.525 0.025
Na: 0.179 0.343 0.252
O: 0.576 0.657 0.079
O: 0.171 0.471 0.078
O: 0.576 0.505 0.580
Na: 0.161 0.032 0.409
O: 0.599 0.032 0.587
Na: 0.490 0.698 0.912
Na: 0.677 0.013 0.752
Na: 0.832 0.339 0.827
O: 0.488 0.821 0.091
O: 0.485 0.778 0.813
O: 0.984 0.184 0.310
O: 0.571 0.693 0.471
O: 0.749 0.863 0.359
O: 0.897 0.822 0.195
Ta: 0.667 0.667 0.314
O: 0.173 0.872 0.577
O: 0.845 0.533 0.532
O: 0.071 0.693 0.471
Si: 0.149 0.297 0.753
O: 0.409 0.986 0.413
O: 0.347 0.155 0.032
O: 0.418 0.035 0.089
Si: 0.147 0.999 0.252
Zn: 0.507 0.988 0.851
O: 0.647 0.848 0.977
Zn: 0.844 0.322 0.183
Na: 0.651 0.663 0.158
O: 0.182 0.865 0.857
O: 0.919 0.322 0.247
Ta: 0.505 0.011 0.646
Si: 0.168 0.961 0.918
O: 0.572 0.455 0.971
O: 0.769 0.828 0.754
Zn: 0.171 0.697 0.016
Zn: 0.005 0.985 0.850
Na: 0.837 0.338 0.324
O: 0.094 0.704 0.756
O: 0.319 0.491 0.925
O: 0.673 0.872 0.577
O: 0.075 0.635 0.077
O: 0.101 0.166 0.086
O: 0.824 0.494 0.924
O: 0.083 0.972 0.194
O: 0.065 0.494 0.865
O: 0.408 0.832 0.913
S: 0.687 0.040 0.586

Output
Energy ... -1570.457 eV/cell
Space-group type ... No. 1